Compound: Cs2Se
Source: Materials Project
Functional: PBE-GGA
Structure: optimized geometry

a b c (Å): 6.499 6.499 8.759
angles (deg): 90.00 90.00 130.66
Atoms (fractional coordinates):
Cs 0.016 0.984 0.500
Cs 0.308 0.692 0.281
Cs 0.692 0.308 0.781
Cs 0.984 0.016 0.000
Se 0.379 0.621 0.719
Se 0.621 0.379 0.219

Computed properties:
Its energy above the most stable polymorph in this dataset is 0.072 eV/atom. The calculated total energy is -16.43 eV/cell. The value obtained for the size of the total moment is 0.00 Bohr magnetons per cell. As for the space group: Cmc2_1 (36).